Below is crystalline Li5Mn5O12 at its relaxed geometry, with properties calculated at the PBE with a Hubbard U level. Values from VASP.

DFT total energy	-285.86	eV per cell
formation energy from the elements	-196.4	kJ/mol of atoms

Quantum ESPRESSO input file:
```
&SYSTEM
  ibrav = 0, nat = 44, ntyp = 3
/
ATOMIC_SPECIES
Li 6.94 Li.upf
Mn 54.94 Mn.upf
O 16.00 O.upf
ATOMIC_POSITIONS crystal
Li 0.078 0.901 0.265
Li 0.128 0.622 0.375
Li 0.275 0.779 0.764
Li 0.582 0.395 0.766
Li 0.472 0.975 0.486
Li 0.621 0.126 0.875
Li 0.854 0.666 0.484
Li 0.969 0.475 0.986
Li 0.773 0.282 0.264
Li 0.667 0.858 0.985
Mn 0.212 0.038 0.625
Mn 0.451 0.300 0.375
Mn 0.959 0.801 0.875
Mn 0.378 0.872 0.125
Mn 0.711 0.537 0.124
Mn 0.286 0.453 0.875
Mn 0.045 0.208 0.125
Mn 0.879 0.370 0.625
Mn 0.543 0.707 0.625
Mn 0.788 0.962 0.375
O 0.258 0.107 0.822
O 0.142 0.998 0.428
O 0.524 0.353 0.575
O 0.027 0.527 0.181
O 0.655 0.517 0.929
O 0.281 0.775 0.930
O 0.222 0.727 0.569
O 0.401 0.222 0.175
O 0.750 0.610 0.322
O 0.525 0.024 0.681
O 0.901 0.725 0.675
O 0.461 0.982 0.320
O 0.088 0.244 0.321
O 0.242 0.397 0.675
O 0.008 0.848 0.074
O 0.771 0.286 0.430
O 0.728 0.218 0.069
O 0.965 0.479 0.820
O 0.590 0.736 0.821
O 0.355 0.524 0.075
O 0.507 0.659 0.429
O 0.849 0.010 0.575
O 0.987 0.147 0.928
O 0.749 0.897 0.176
CELL_PARAMETERS angstrom
5.030 0.000 0.000
-2.427 4.430 0.000
-1.190 -1.600 19.657
```